(1)
The following is a PBE calculation of a relaxed MgTiP2O7 crystal, from Materials Project.

Lattice parameters (Å, degrees): 5.6685 6.5764 7.3284 85.52 86.57 67.88
Space group P-1 (No. 2)
One atom of each set of equivalent atoms:
Mg1 0.1831 0.3247 0.3453 [2 per cell]
Ti1 0.1886 0.8878 0.8458 [2 per cell]
P1 0.2755 0.7794 0.4047 [2 per cell]
P2 0.3172 0.3458 0.8886 [2 per cell]
O1 0.1145 0.6388 0.4538 [2 per cell]
O2 0.1237 0.5831 0.8544 [2 per cell]
O3 0.1287 0.0171 0.3250 [2 per cell]
O4 0.2343 0.1764 0.8137 [2 per cell]
O5 0.4139 0.2867 0.0856 [2 per cell]
O6 0.4370 0.6541 0.2323 [2 per cell]
O7 0.4431 0.7838 0.5592 [2 per cell]

Values from the calculation:
Spin magnetization = 2.00 μB per formula unit
Offset from the most stable computed form = 0.033 eV/atom
Calculated volume = 11.46 Å³/atom
Formation energy from the elements = -2760 meV per atom

---

(2)
The following is a PBE calculation of a relaxed YSn3 crystal, from Materials Project.

Lattice parameters (Å, degrees): 4.4446 4.4446 10.8390 90.00 90.00 90.00
Space group I4/mmm (No. 139)
One atom of each set of equivalent atoms:
Y1 0.0000 0.0000 0.0000 [2 per cell]
Sn1 0.0000 0.0000 0.5000 [2 per cell]
Sn2 0.0000 0.5000 0.2500 [4 per cell]

Values from the calculation:
Calculated volume = 26.77 Å³/atom
Formation energy from the elements = -392 meV per atom

---

(3)
The following is a PBE calculation of a relaxed Er2ZnHg crystal, from Materials Project.

Lattice parameters (Å, degrees): 7.2516 7.2516 7.2516 90.00 90.00 90.00
Space group Fm-3m (No. 225)
One atom of each set of equivalent atoms:
Er1 0.2500 0.2500 0.2500 [8 per cell]
Zn1 0.0000 0.0000 0.0000 [4 per cell]
Hg1 0.0000 0.0000 0.5000 [4 per cell]

Values from the calculation:
Calculated volume = 23.83 Å³/atom
Formation energy from the elements = -403 meV per atom

---

(4)
The following is a PBE calculation of a relaxed Mg14CrSb crystal, from Materials Project.

Lattice parameters (Å, degrees): 6.3280 6.3280 10.3547 90.00 90.00 120.00
Space group P-6m2 (No. 187)
One atom of each set of equivalent atoms:
Mg1 0.0000 0.0000 0.2493 [2 per cell]
Mg2 0.0022 0.5011 0.2439 [6 per cell]
Mg3 0.3313 0.1656 0.5000 [3 per cell]
Mg4 0.3338 0.1669 0.0000 [3 per cell]
Cr1 0.3333 0.6667 0.0000 [1 per cell]
Sb1 0.3333 0.6667 0.5000 [1 per cell]

Values from the calculation:
Spin magnetization = 4.28 μB per formula unit
Offset from the most stable computed form = 0.010 eV/atom
Calculated volume = 22.44 Å³/atom
Formation energy from the elements = 29 meV per atom

---

(5)
The following is a PBE calculation of a relaxed Na6In2Ga2Si3S3O24 crystal, from Materials Project.

Lattice parameters (Å, degrees): 8.9932 9.0559 22.4256 89.44 89.15 60.58
Space group P1 (No. 1)
One atom of each set of equivalent atoms:
Na1 0.0000 0.0000 0.0000 [1 per cell]
Na2 0.9997 0.3552 0.2739 [1 per cell]
Na3 0.0044 0.7189 0.5045 [1 per cell]
Na4 0.0067 0.3676 0.7578 [1 per cell]
Na5 0.0268 0.6618 0.1952 [1 per cell]
Na6 0.0315 0.0332 0.6801 [1 per cell]
Na7 0.3408 0.3317 0.3592 [1 per cell]
Na8 0.3463 0.0455 0.8406 [1 per cell]
Na9 0.3525 0.6703 0.5913 [1 per cell]
Na10 0.3602 0.6827 0.0965 [1 per cell]
Na11 0.6299 0.3643 0.5129 [1 per cell]
Na12 0.6397 0.7164 0.0123 [1 per cell]
Na13 0.6722 0.0238 0.4313 [1 per cell]
Na14 0.6735 0.4011 0.1853 [1 per cell]
Na15 0.6750 0.6492 0.6746 [1 per cell]
Na16 0.6833 0.0186 0.9212 [1 per cell]
Na17 0.7066 0.3247 0.8346 [1 per cell]
Na18 0.7174 0.6789 0.3514 [1 per cell]
In1 0.3515 0.6874 0.9385 [1 per cell]
In2 0.3596 0.6874 0.2548 [1 per cell]
In3 0.6485 0.0414 0.5749 [1 per cell]
In4 0.6654 0.0281 0.0782 [1 per cell]
In5 0.6907 0.0114 0.2872 [1 per cell]
In6 0.9915 0.3698 0.1109 [1 per cell]
Ga1 0.3527 0.6585 0.4484 [1 per cell]
Ga2 0.3599 0.6820 0.7499 [1 per cell]
Ga3 0.7086 0.0105 0.7803 [1 per cell]
Ga4 0.9765 0.3690 0.6026 [1 per cell]
Ga5 0.9810 0.3519 0.9015 [1 per cell]
Ga6 0.9960 0.3843 0.4134 [1 per cell]
Si1 0.0517 0.9779 0.8448 [1 per cell]
Si2 0.0546 0.6875 0.3494 [1 per cell]
Si3 0.2823 0.3595 0.5116 [1 per cell]
Si4 0.6466 0.6985 0.8440 [1 per cell]
Si5 0.6524 0.3854 0.3486 [1 per cell]
Si6 0.6681 0.7319 0.1776 [1 per cell]
Si7 0.6690 0.3232 0.6799 [1 per cell]
Si8 0.6989 0.6591 0.5112 [1 per cell]
Si9 0.7043 0.3560 0.0106 [1 per cell]
S1 0.0143 0.0664 0.5131 [1 per cell]
S2 0.0141 0.6468 0.0100 [1 per cell]
S3 0.2943 0.0719 0.0095 [1 per cell]
S4 0.3303 0.9888 0.3484 [1 per cell]
S5 0.3352 0.3942 0.8447 [1 per cell]
S6 0.3721 0.3227 0.1790 [1 per cell]
S7 0.3752 0.0219 0.6835 [1 per cell]
S8 0.9733 0.7282 0.6797 [1 per cell]
S9 0.9779 0.0218 0.1760 [1 per cell]
O1 0.0003 0.5495 0.9609 [1 per cell]
O2 0.0024 0.1728 0.1728 [1 per cell]
O3 0.0282 0.1417 0.5714 [1 per cell]
O4 0.0338 0.5612 0.0690 [1 per cell]
O5 0.0401 0.5116 0.3500 [1 per cell]
O6 0.0422 0.1686 0.8469 [1 per cell]
O7 0.1215 0.8784 0.9080 [1 per cell]
O8 0.1414 0.7187 0.6882 [1 per cell]
O9 0.1411 0.8641 0.1824 [1 per cell]
O10 0.1533 0.7113 0.4055 [1 per cell]
O11 0.1538 0.6684 0.2848 [1 per cell]
O12 0.1590 0.3823 0.5702 [1 per cell]
O13 0.1604 0.6789 0.0065 [1 per cell]
O14 0.1643 0.8968 0.5093 [1 per cell]
O15 0.1802 0.8776 0.7889 [1 per cell]
O16 0.1821 0.3725 0.8525 [1 per cell]
O17 0.1833 0.1602 0.3540 [1 per cell]
O18 0.1999 0.1563 0.0648 [1 per cell]
O19 0.2003 0.3351 0.4507 [1 per cell]
O20 0.2004 0.3369 0.1735 [1 per cell]
O21 0.2042 0.1713 0.6774 [1 per cell]
O22 0.2120 0.1684 0.9553 [1 per cell]
O23 0.2994 0.5357 0.5105 [1 per cell]
O24 0.3045 0.9012 0.0108 [1 per cell]
O25 0.3083 0.5039 0.7929 [1 per cell]
O26 0.3090 0.9238 0.2902 [1 per cell]
O27 0.3488 0.4978 0.1808 [1 per cell]
O28 0.3551 0.8652 0.6877 [1 per cell]
O29 0.3573 0.8719 0.3980 [1 per cell]
O30 0.3718 0.4618 0.8994 [1 per cell]
O31 0.4522 0.2266 0.2333 [1 per cell]
O32 0.4579 0.0426 0.7370 [1 per cell]
O33 0.4728 0.0435 0.0101 [1 per cell]
O34 0.4795 0.2468 0.1250 [1 per cell]
O35 0.4813 0.2047 0.5113 [1 per cell]
O36 0.4860 0.9848 0.6302 [1 per cell]
O37 0.4872 0.2219 0.8374 [1 per cell]
O38 0.4901 0.0044 0.3451 [1 per cell]
O39 0.5027 0.7023 0.1813 [1 per cell]
O40 0.5039 0.5173 0.6899 [1 per cell]
O41 0.5109 0.6730 0.5032 [1 per cell]
O42 0.5197 0.4795 0.4036 [1 per cell]
O43 0.5200 0.5304 0.0048 [1 per cell]
O44 0.5343 0.7464 0.9064 [1 per cell]
O45 0.5545 0.6502 0.7910 [1 per cell]
O46 0.5909 0.4964 0.2858 [1 per cell]
O47 0.6427 0.2103 0.3418 [1 per cell]
O48 0.6455 0.2428 0.6191 [1 per cell]
O49 0.6512 0.8273 0.1129 [1 per cell]
O50 0.6529 0.8748 0.8316 [1 per cell]
O51 0.7001 0.1756 0.0141 [1 per cell]
O52 0.7027 0.8240 0.2332 [1 per cell]
O53 0.7038 0.8363 0.5197 [1 per cell]
O54 0.7071 0.1946 0.7381 [1 per cell]
O55 0.7722 0.5389 0.5721 [1 per cell]
O56 0.7768 0.3900 0.0727 [1 per cell]
O57 0.8247 0.5739 0.4537 [1 per cell]
O58 0.8322 0.5223 0.8499 [1 per cell]
O59 0.8349 0.3221 0.9535 [1 per cell]
O60 0.8409 0.3652 0.3586 [1 per cell]
O61 0.8451 0.5412 0.1780 [1 per cell]
O62 0.8504 0.3385 0.6730 [1 per cell]
O63 0.8524 0.8168 0.0106 [1 per cell]
O64 0.8527 0.0201 0.8396 [1 per cell]
O65 0.8558 0.8109 0.7323 [1 per cell]
O66 0.8565 0.0476 0.5158 [1 per cell]
O67 0.8570 0.8443 0.3503 [1 per cell]
O68 0.8597 0.0575 0.2272 [1 per cell]
O69 0.8989 0.8326 0.6253 [1 per cell]
O70 0.9012 0.0023 0.1199 [1 per cell]
O71 0.9856 0.5601 0.6762 [1 per cell]
O72 0.9887 0.1798 0.4627 [1 per cell]

Values from the calculation:
Spin magnetization = 0.00 μB per formula unit
Calculated volume = 13.26 Å³/atom
Formation energy from the elements = -2303 meV per atom

---

(6)
The following is a PBE calculation of a relaxed HoAlAu2 crystal, from Materials Project.

Lattice parameters (Å, degrees): 6.8143 6.8143 6.8143 90.00 90.00 90.00
Space group Fm-3m (No. 225)
One atom of each set of equivalent atoms:
Ho1 0.0000 0.0000 0.0000 [4 per cell]
Al1 0.0000 0.0000 0.5000 [4 per cell]
Au1 0.2500 0.2500 0.2500 [8 per cell]

Values from the calculation:
Spin magnetization = 0.00 μB per formula unit
Calculated volume = 19.78 Å³/atom
Formation energy from the elements = -717 meV per atom

---

(7)
The following is a PBE calculation of a relaxed P2O2F3 crystal, from Materials Project.

Lattice parameters (Å, degrees): 13.2349 13.2349 9.5403 90.00 90.00 120.00
Space group P3c1 (No. 158)
One atom of each set of equivalent atoms:
P1 0.0000 0.0000 0.0000 [2 per cell]
P2 0.1823 0.4547 0.0673 [6 per cell]
P3 0.2167 0.1022 0.8201 [6 per cell]
P4 0.3333 0.6667 0.3892 [2 per cell]
P5 0.5452 0.1155 0.2535 [6 per cell]
P6 0.6667 0.3333 0.4347 [2 per cell]
O1 0.0000 0.0000 0.1548 [2 per cell]
O2 0.1202 0.0226 0.4368 [6 per cell]
O3 0.2547 0.5403 0.4527 [6 per cell]
O4 0.3333 0.6667 0.2345 [2 per cell]
O5 0.5748 0.2106 0.8718 [6 per cell]
O6 0.6667 0.3333 0.0895 [2 per cell]
F1 0.1201 0.3436 0.9654 [6 per cell]
F2 0.1536 0.4138 0.6500 [6 per cell]
F3 0.2338 0.0183 0.2381 [6 per cell]
F4 0.3276 0.1566 0.4214 [6 per cell]
F5 0.4573 0.0988 0.6725 [6 per cell]
F6 0.5007 0.0036 0.3539 [6 per cell]

Values from the calculation:
Spin magnetization = 0.00 μB per formula unit
Calculated volume = 17.23 Å³/atom
Formation energy from the elements = -2508 meV per atom

---

(8)
The following is a PBE calculation of a relaxed Bi4B3O12 crystal, from Materials Project.

Lattice parameters (Å, degrees): 16.1799 5.2973 5.7316 90.00 95.31 90.00
Space group Pc (No. 7)
One atom of each set of equivalent atoms:
Bi1 0.0000 0.2086 0.0000 [2 per cell]
Bi2 0.2842 0.2390 0.0752 [2 per cell]
Bi3 0.4442 0.2657 0.5802 [2 per cell]
Bi4 0.7147 0.2418 0.7666 [2 per cell]
B1 0.1359 0.3085 0.4149 [2 per cell]
B2 0.5863 0.2369 0.1500 [2 per cell]
B3 0.8518 0.2505 0.3632 [2 per cell]
O1 0.0756 0.1214 0.3397 [2 per cell]
O2 0.1137 0.4407 0.9179 [2 per cell]
O3 0.2169 0.2395 0.4638 [2 per cell]
O4 0.3618 0.4954 0.8296 [2 per cell]
O5 0.3647 0.0012 0.8286 [2 per cell]
O6 0.5098 0.3202 0.1971 [2 per cell]
O7 0.6020 0.0224 0.6526 [2 per cell]
O8 0.6459 0.4042 0.0782 [2 per cell]
O9 0.7755 0.1436 0.4223 [2 per cell]
O10 0.8240 0.4329 0.1577 [2 per cell]
O11 0.8923 0.4220 0.5672 [2 per cell]
O12 0.9156 0.0944 0.2928 [2 per cell]

Values from the calculation:
Spin magnetization = 0.35 μB per formula unit
Offset from the most stable computed form = 0.324 eV/atom
Calculated volume = 12.87 Å³/atom
Formation energy from the elements = -1642 meV per atom

---

(9)
The following is a PBE calculation of a relaxed Pr3Zn22 crystal, from Materials Project.

Lattice parameters (Å, degrees): 8.9405 8.9405 21.2435 90.00 90.00 90.00
Space group I4_1/amd (No. 141, origin choice 2)
One atom of each set of equivalent atoms:
Pr1 0.0000 0.2500 0.2560 [8 per cell]
Pr2 0.0000 0.2500 0.8750 [4 per cell]
Zn1 0.0000 0.0000 0.0000 [8 per cell]
Zn2 0.0000 0.0222 0.3765 [16 per cell]
Zn3 0.0000 0.0995 0.7369 [16 per cell]
Zn4 0.0000 0.1017 0.1174 [16 per cell]
Zn5 0.2331 0.0080 0.1889 [32 per cell]

Values from the calculation:
Calculated volume = 16.98 Å³/atom
Formation energy from the elements = -285 meV per atom

---

(10)
The following is a PBE calculation of a relaxed Ba2YGaTe5 crystal, from Materials Project.

Lattice parameters (Å, degrees): 4.5221 20.4470 14.3511 90.00 90.00 90.00
Space group Cmc2_1 (No. 36)
One atom of each set of equivalent atoms:
Ba1 0.0000 0.1210 0.0000 [4 per cell]
Ba2 0.0000 0.1275 0.6384 [4 per cell]
Y1 0.0000 0.2051 0.3381 [4 per cell]
Ga1 0.0000 0.4409 0.7417 [4 per cell]
Te1 0.0000 0.0455 0.3498 [4 per cell]
Te2 0.0000 0.2960 0.9823 [4 per cell]
Te3 0.0000 0.3132 0.6847 [4 per cell]
Te4 0.0000 0.3521 0.3206 [4 per cell]
Te5 0.0000 0.4983 0.0814 [4 per cell]

Values from the calculation:
Calculated volume = 36.86 Å³/atom
Formation energy from the elements = -1528 meV per atom